[1]
Below is crystalline Ho2Mo3O12 at its relaxed geometry, with properties calculated at the PBE with a Hubbard U level.

The structure in POSCAR format:
```
Ho2Mo3O12
1.0
-5.5065 -0.5625 -4.9668
4.5445 -3.6406 -4.6261
-2.9897 -9.2796 4.3656
O Ho Mo
24 4 6
Cartesian
-2.5792 -5.0209 -4.6387
-3.7990 -3.6794 -2.3338
-0.4095 -4.8545 -8.0189
-1.5225 -9.4253 -2.7393
-4.4175 -10.4139 -1.6035
-2.2170 -5.3051 -0.3360
0.7488 -11.3377 -0.0291
-1.0510 -7.8426 0.6589
0.9865 -6.2672 -4.5570
-7.1000 -9.5924 -1.6945
-0.1672 -4.7206 -2.3486
1.1814 -10.2533 -2.6476
-6.3385 -6.9705 -0.8196
-1.1429 -1.1807 -0.7121
-4.0400 -9.1761 -4.2226
-3.6346 -7.7985 -0.7279
0.0916 -3.5899 0.2320
-2.8380 -6.1515 -7.2193
-1.9337 -10.5162 -0.1200
-1.5952 -7.7444 -5.0950
-1.3996 -2.3024 -3.2723
0.5199 -7.4968 -1.9003
-4.6112 -6.4189 -3.1232
-0.1527 -3.7328 -5.4587
-1.6482 -3.2914 -1.2753
-0.1147 -9.4578 -0.8940
-0.8808 -5.7753 -6.0294
-5.2598 -8.4408 -2.2558
-0.4810 -2.1015 -4.7964
0.0000 0.0000 0.0000
1.0060 -6.0027 -2.7432
-2.2145 -9.2521 -4.3723
-2.5932 -6.8873 0.3950
-4.1018 -4.8231 -3.7340
```

E_form: -2658 meV per atom
ΔE to the lowest computed polymorph: 0 meV per atom


[2]
Below is crystalline Ho2Mo3O12 at its relaxed geometry, with properties calculated at the PBE with a Hubbard U level.

The structure in POSCAR format:
```
Ho2Mo3O12
1.0
-9.3982 3.5310 2.8816
-4.5070 -6.1779 -7.1295
-0.7196 -7.8083 7.2210
O Mo Ho
48 12 8
Cartesian
-4.4490 -6.5733 0.8857
-7.4914 -0.6158 0.3275
-11.2157 -8.1809 4.3398
-5.8920 -6.7655 3.6379
-3.3742 -9.3705 0.6340
-7.7569 -9.2661 -2.3558
-6.0152 -4.3144 -0.2155
-7.4924 -11.2838 1.3556
-2.7371 -5.8523 4.4558
-12.9145 -5.5648 -2.2552
-6.9200 -1.7537 5.8510
-4.1365 -8.8084 -2.1731
-8.2937 -6.3001 0.1249
-10.1754 -6.5942 6.3621
-6.5729 -3.7579 -2.9785
-12.1793 -7.7675 1.4439
-11.9240 -2.8861 -2.5691
-10.9030 -10.2564 2.3295
-7.2558 -6.4559 -2.6421
-2.1403 -1.4876 -0.0819
-5.0565 -10.4492 2.7037
-10.4788 -1.5435 5.0506
-1.4525 -2.0930 2.6413
-10.2278 -4.4465 2.6095
-4.3870 -1.7171 2.4540
-9.3468 -3.2945 7.0469
-8.3518 -3.3434 0.6015
-9.0469 1.1049 2.0698
-4.0624 -5.7747 -1.9012
-6.6059 -8.3345 1.3862
-3.9977 -8.6612 4.5398
-5.0187 -1.5801 -0.4322
-9.9525 -5.6417 -2.3444
-9.0490 -2.8299 -2.1853
-3.1918 -4.0472 0.3675
-5.0208 -5.5149 -4.6873
-9.0687 -7.3346 2.7060
-10.2770 -1.5842 2.0108
-11.5465 -4.2950 5.3079
-5.7420 -4.5453 5.6157
-8.3106 -5.2854 4.5134
-5.6139 -10.8056 -0.7031
-7.1123 -1.2145 3.0399
-9.1787 -9.1202 0.3262
-6.3216 -4.0518 2.7526
-7.7210 -5.5582 7.5240
-4.3290 -6.7869 6.7363
-11.1764 -3.6232 0.0302
-6.5726 -5.1854 4.1081
-6.9304 -0.4461 4.6399
-1.4577 -6.3810 3.3250
-3.5226 -0.7200 -0.9145
-5.6634 -3.8513 -4.5138
-13.3959 -6.5574 1.9445
-4.4097 -5.1975 -0.2467
-8.2811 -7.7530 1.1614
-10.0271 -3.2183 1.3337
-10.4023 -2.1405 -3.1360
-8.2615 0.9909 0.4633
-7.5064 -7.9697 -3.5529
-4.5426 -8.2916 2.4095
-7.9877 -10.9329 -0.7899
-7.9842 -4.6440 -1.4607
-10.4444 -6.0937 4.1981
-6.9993 -3.4524 7.3975
-6.3194 -2.3265 1.2112
-13.2517 -3.6576 -0.9190
-1.0520 -3.3129 0.6695
```

E_form: -2656 meV per atom
ΔE to the lowest computed polymorph: 2 meV per atom


[3]
Below is crystalline Ho2MoO6 at its relaxed geometry, with properties calculated at the PBE with a Hubbard U level.

The structure in POSCAR format:
```
Ho2MoO6
1.0
5.5481 8.2143 0.0000
-5.5481 8.2143 0.0000
0.0000 1.6772 5.1097
O Ho Mo
24 8 4
Cartesian
2.2634 13.9185 3.8094
-2.2634 4.1873 1.3003
-2.2634 13.0799 1.2545
0.5820 13.1491 1.8542
3.0971 11.4026 4.4696
0.3446 15.9442 2.4802
0.2023 7.6843 2.9525
-3.0971 6.7032 0.6401
0.3446 1.3230 0.0746
-0.5820 13.9877 4.4091
2.6026 10.1060 2.1366
-0.2023 6.8457 0.3977
-0.2023 10.4215 2.1572
0.5820 4.1181 0.7006
-2.6026 7.9998 2.9732
-2.6026 10.9445 4.6915
2.2634 5.0259 3.8552
-0.3446 2.1616 2.6295
2.6026 7.1612 0.4183
-3.0971 10.5640 1.9147
3.0971 7.5418 3.1950
-0.5820 4.9567 3.2555
0.2023 11.2601 4.7121
-0.3446 16.7827 5.0351
-4.0321 9.4722 3.8323
1.1772 9.4722 3.8323
1.2825 6.0903 1.9307
1.2825 11.1769 0.6242
-1.1772 8.6336 1.2774
-1.2825 12.0155 3.1791
-1.2825 6.9289 4.4856
4.0321 8.6336 1.2774
1.5806 2.6317 0.3137
-1.5806 15.4740 4.7961
1.5806 14.6355 2.2412
-1.5806 3.4703 2.8686
```

E_form: -3195 meV per atom


[4]
Below is crystalline RbHoMo2O8 at its relaxed geometry, with properties calculated at the PBE with a Hubbard U level.

The structure in POSCAR format:
```
RbHoMo2O8
1.0
4.7096 -0.5586 5.8281
5.8827 1.8545 -4.2912
4.1201 6.2592 1.9702
O Mo Ho Rb
16 4 2 2
Cartesian
9.9440 2.1410 2.5343
7.2379 6.4592 1.5632
5.8017 1.1354 -0.2403
2.5197 1.8964 1.6153
5.8075 5.3961 3.6701
9.7113 4.5892 1.4040
10.5946 4.5266 4.0177
7.1070 3.8176 0.5506
7.4745 1.0959 1.9439
8.9050 2.1590 -0.1630
12.1928 5.6587 1.8918
7.6054 3.7376 2.9565
4.7684 5.4142 0.9728
4.1178 3.0285 -0.5105
5.0011 2.9659 2.1031
8.9107 6.4198 3.7474
8.4573 2.5453 1.5910
6.2552 5.0098 1.9162
4.1943 1.8786 0.9378
10.5181 5.6765 2.5693
6.6441 2.8667 -1.4812
8.0684 4.6884 4.9883
8.7395 6.0690 -0.8009
5.9730 1.4861 4.3080
```

E_form: -2525 meV per atom